[1]
! Ba3Y2O6 (PBE, relaxed); values from VASP
! **Theoretical density**: 5.36 g cm⁻³
! **Energy of formation**: -3.3192 eV/atom
! **M_tot**: 0.0 μB/f.u.
! **Energy above the lowest structure with this stoichiometry**: 0 meV per atom
! **Volume**: 19.3 Å³/atom
! **Energy**: -7.342 eV/atom
&SYSTEM
  ibrav = 0, nat = 11, ntyp = 3
/
ATOMIC_SPECIES
Ba 137.33 Ba.upf
Y 88.91 Y.upf
O 16.00 O.upf
ATOMIC_POSITIONS crystal
Ba 0.000 0.000 0.000
Ba 0.183 0.183 0.000
Ba 0.817 0.817 0.000
Y 0.398 0.398 0.000
Y 0.602 0.602 0.000
O 0.083 0.583 0.500
O 0.301 0.301 0.000
O 0.417 0.917 0.500
O 0.583 0.083 0.500
O 0.699 0.699 0.000
O 0.917 0.417 0.500
CELL_PARAMETERS angstrom
-2.207 2.207 10.909
2.207 -2.207 10.909
2.207 2.207 -10.909

[2]
! Ba3Y2O6 (PBE, relaxed); values from VASP
! **Theoretical density**: 5.57 g cm⁻³
! **Energy of formation**: -3.2614 eV/atom
! **M_tot**: 0.0 μB/f.u.
! **Energy above the lowest structure with this stoichiometry**: 58 meV per atom
! **Volume**: 18.6 Å³/atom
! **Energy**: -7.285 eV/atom
&SYSTEM
  ibrav = 0, nat = 44, ntyp = 3
/
ATOMIC_SPECIES
Ba 137.33 Ba.upf
Y 88.91 Y.upf
O 16.00 O.upf
ATOMIC_POSITIONS crystal
Ba 0.104 0.154 0.000
Ba 0.134 0.552 0.000
Ba 0.151 0.767 0.000
Ba 0.349 0.267 0.000
Ba 0.366 0.052 0.000
Ba 0.396 0.654 0.000
Ba 0.604 0.346 0.000
Ba 0.634 0.948 0.000
Ba 0.651 0.733 0.000
Ba 0.849 0.233 0.000
Ba 0.866 0.448 0.000
Ba 0.896 0.846 0.000
Y 0.113 0.361 0.500
Y 0.129 0.959 0.500
Y 0.371 0.459 0.500
Y 0.387 0.861 0.500
Y 0.613 0.139 0.500
Y 0.629 0.541 0.500
Y 0.871 0.041 0.500
Y 0.887 0.639 0.500
O 0.000 0.000 0.000
O 0.000 0.500 0.500
O 0.012 0.339 0.000
O 0.057 0.848 0.500
O 0.194 0.258 0.500
O 0.209 0.068 0.500
O 0.246 0.417 0.000
O 0.254 0.917 0.000
O 0.291 0.568 0.500
O 0.306 0.758 0.500
O 0.443 0.348 0.500
O 0.488 0.839 0.000
O 0.500 0.000 0.500
O 0.500 0.500 0.000
O 0.512 0.161 0.000
O 0.557 0.652 0.500
O 0.694 0.242 0.500
O 0.709 0.432 0.500
O 0.746 0.083 0.000
O 0.754 0.583 0.000
O 0.791 0.932 0.500
O 0.806 0.742 0.500
O 0.943 0.152 0.500
O 0.988 0.661 0.000
CELL_PARAMETERS angstrom
12.526 0.000 0.000
0.000 18.156 0.000
0.000 0.000 3.594

- The highest volume belongs to which entry?
  number 1

Please write out number 1 again, unchanged.
! Ba3Y2O6 (PBE, relaxed); values from VASP
! **Theoretical density**: 5.36 g cm⁻³
! **Energy of formation**: -3.3192 eV/atom
! **M_tot**: 0.0 μB/f.u.
! **Energy above the lowest structure with this stoichiometry**: 0 meV per atom
! **Volume**: 19.3 Å³/atom
! **Energy**: -7.342 eV/atom
&SYSTEM
  ibrav = 0, nat = 11, ntyp = 3
/
ATOMIC_SPECIES
Ba 137.33 Ba.upf
Y 88.91 Y.upf
O 16.00 O.upf
ATOMIC_POSITIONS crystal
Ba 0.000 0.000 0.000
Ba 0.183 0.183 0.000
Ba 0.817 0.817 0.000
Y 0.398 0.398 0.000
Y 0.602 0.602 0.000
O 0.083 0.583 0.500
O 0.301 0.301 0.000
O 0.417 0.917 0.500
O 0.583 0.083 0.500
O 0.699 0.699 0.000
O 0.917 0.417 0.500
CELL_PARAMETERS angstrom
-2.207 2.207 10.909
2.207 -2.207 10.909
2.207 2.207 -10.909